Density functional theory data (GGA-PBE) for crystalline Zn2Ge5N8 at its relaxed geometry.

Geometry as CIF:
```
data_Zn2Ge5N8
_chemical_formula_sum 'Zn16 Ge40 N64'
_cell_length_a 10.4205
_cell_length_b 14.1389
_cell_length_c 11.2879
_cell_angle_alpha 90.00
_cell_angle_beta 90.00
_cell_angle_gamma 90.00
_symmetry_space_group_name_H-M 'P b c a'
_symmetry_Int_Tables_number 61
loop_
_symmetry_equiv_pos_as_xyz
'x,y,z'
'-x,-y,-z'
'-x+1/2,-y,z+1/2'
'x+1/2,y,-z+1/2'
'x+1/2,-y+1/2,-z'
'-x+1/2,y+1/2,z'
'-x,y+1/2,-z+1/2'
'x,-y+1/2,z+1/2'
loop_
_atom_site_label
_atom_site_fract_x
_atom_site_fract_y
_atom_site_fract_z
Zn1 0.1064 0.0346 0.1581
Zn2 0.1303 0.0178 0.4268
Ge1 0.0061 0.7152 0.0156
Ge2 0.0179 0.1634 0.7537
Ge3 0.1379 0.5390 0.1776
Ge4 0.2388 0.6608 0.6014
Ge5 0.2412 0.7184 0.3360
N1 0.0220 0.0337 0.7589
N2 0.0415 0.5917 0.0548
N3 0.0963 0.2102 0.6189
N4 0.1012 0.2253 0.8759
N5 0.1460 0.7090 0.4760
N6 0.1550 0.6967 0.7390
N7 0.2346 0.0966 0.2741
N8 0.2490 0.0312 0.5760
```

---

Density functional theory data (GGA-PBE) for crystalline Zn5Ge2N6 at its relaxed geometry.

Geometry as CIF:
```
data_Zn5Ge2N6
_chemical_formula_sum 'Zn20 Ge8 N24'
_cell_length_a 8.9787
_cell_length_b 5.6918
_cell_length_c 13.9944
_cell_angle_alpha 90.00
_cell_angle_beta 91.72
_cell_angle_gamma 90.00
_symmetry_space_group_name_H-M 'C 1 2/c 1'
_symmetry_Int_Tables_number 15
loop_
_symmetry_equiv_pos_as_xyz
'x,y,z'
'-x,-y,-z'
'-x,y,-z+1/2'
'x,-y,z+1/2'
'x+1/2,y+1/2,z'
'-x+1/2,-y+1/2,-z'
'-x+1/2,y+1/2,-z+1/2'
'x+1/2,-y+1/2,z+1/2'
loop_
_atom_site_label
_atom_site_fract_x
_atom_site_fract_y
_atom_site_fract_z
Zn1 0.0000 0.0488 0.2500
Zn2 0.1171 0.2335 0.5413
Zn3 0.1417 0.4220 0.7254
Ge1 0.2112 0.2551 0.9041
N1 0.0172 0.2297 0.8548
N2 0.1791 0.2382 0.2071
N3 0.2428 0.4861 0.0028
```

---

Density functional theory data (GGA-PBE) for crystalline ZrGeN2 at its relaxed geometry.

Geometry as CIF:
```
data_ZrGeN2
_chemical_formula_sum 'Zr2 Ge2 N4'
_cell_length_a 3.9556
_cell_length_b 3.9556
_cell_length_c 7.8391
_cell_angle_alpha 90.00
_cell_angle_beta 90.00
_cell_angle_gamma 90.00
_symmetry_space_group_name_H-M 'P 4/n m m'
_symmetry_Int_Tables_number 129
loop_
_symmetry_equiv_pos_as_xyz
'x,y,z'
'-x,-y,-z'
'-y+1/2,x,z'
'y+1/2,-x,-z'
'-x+1/2,-y+1/2,z'
'x+1/2,y+1/2,-z'
'y,-x+1/2,z'
'-y,x+1/2,-z'
'x+1/2,-y,-z'
'-x+1/2,y,z'
'-y,-x,-z'
'y,x,z'
'-x,y+1/2,-z'
'x,-y+1/2,z'
'y+1/2,x+1/2,-z'
'-y+1/2,-x+1/2,z'
loop_
_atom_site_label
_atom_site_fract_x
_atom_site_fract_y
_atom_site_fract_z
Zr1 0.2500 0.2500 0.1109
Ge1 0.2500 0.2500 0.6122
N1 0.2500 0.2500 0.3790
N2 0.2500 0.7500 0.0000
```

---

Density functional theory data (GGA-PBE) for crystalline Zr3Ge6N11 at its relaxed geometry.

Geometry as CIF:
```
data_Zr3Ge6N11
_chemical_formula_sum 'Zr6 Ge12 N22'
_cell_length_a 10.2596
_cell_length_b 10.2596
_cell_length_c 5.1317
_cell_angle_alpha 90.00
_cell_angle_beta 90.00
_cell_angle_gamma 90.00
_symmetry_space_group_name_H-M 'P 4 b m'
_symmetry_Int_Tables_number 100
loop_
_symmetry_equiv_pos_as_xyz
'x,y,z'
'-y,x,z'
'-x,-y,z'
'y,-x,z'
'-x+1/2,y+1/2,z'
'y+1/2,x+1/2,z'
'x+1/2,-y+1/2,z'
'-y+1/2,-x+1/2,z'
loop_
_atom_site_label
_atom_site_fract_x
_atom_site_fract_y
_atom_site_fract_z
Zr1 0.0000 0.0000 0.0000
Zr2 0.1804 0.3196 0.9367
Ge1 0.0917 0.8127 0.5192
Ge2 0.1277 0.6277 0.0287
N1 0.0000 0.5000 0.0197
N2 0.0650 0.1938 0.6921
N3 0.1075 0.8031 0.1608
N4 0.1772 0.6772 0.6938
```

---

Density functional theory data (GGA-PBE) for crystalline NaGe at its relaxed geometry.

Geometry as CIF:
```
data_NaGe
_chemical_formula_sum 'Na16 Ge16'
_cell_length_a 11.9191
_cell_length_b 6.6768
_cell_length_c 11.4422
_cell_angle_alpha 90.00
_cell_angle_beta 116.00
_cell_angle_gamma 90.00
_symmetry_space_group_name_H-M 'P 1 21/c 1'
_symmetry_Int_Tables_number 14
loop_
_symmetry_equiv_pos_as_xyz
'x,y,z'
'-x,-y,-z'
'-x,y+1/2,-z+1/2'
'x,-y+1/2,z+1/2'
loop_
_atom_site_label
_atom_site_fract_x
_atom_site_fract_y
_atom_site_fract_z
Na1 0.0969 0.0644 0.2325
Na2 0.1410 0.6367 0.0484
Na3 0.3933 0.1464 0.7603
Na4 0.3960 0.6807 0.9031
Ge1 0.1244 0.1838 0.9927
Ge2 0.1916 0.5262 0.3450
Ge3 0.3244 0.5398 0.6003
Ge4 0.3258 0.2186 0.4747
```

---

Density functional theory data (GGA-PBE) for crystalline Na3Ge at its relaxed geometry.

Geometry as CIF:
```
data_Na3Ge
_chemical_formula_sum 'Na12 Ge4'
_cell_length_a 7.4259
_cell_length_b 7.4259
_cell_length_c 7.4259
_cell_angle_alpha 90.00
_cell_angle_beta 90.00
_cell_angle_gamma 90.00
_symmetry_space_group_name_H-M 'F m -3 m'
_symmetry_Int_Tables_number 225
_symmetry_space_group_name_Hall '-F 4 2 3'
loop_
_atom_site_label
_atom_site_fract_x
_atom_site_fract_y
_atom_site_fract_z
Na1 0.0000 0.0000 0.0000
Na2 0.2500 0.2500 0.2500
Ge1 0.0000 0.0000 0.5000
```

---

Computed values of energy of formation from the pure elements (unit: eV per atom) for the preceding records, in sequence: -0.15; -0.08; -0.78; -0.37; -0.15; 0.00.